Arrangement i

Here is an optimized crystal structure of NiH10Se2O10 from the Materials Project. Energies are from PBE+U.

Structure (POSCAR):
```
NiH10Se2O10
1.0
7.064 -4.012 0.000
7.064 4.012 0.000
-6.731 0.000 10.105
Ni H Se O
2 20 4 20
Direct
0.206 0.794 0.750
0.794 0.206 0.250
0.095 0.412 0.354
0.105 0.854 0.175
0.146 0.895 0.325
0.249 0.451 0.867
0.257 0.634 0.542
0.366 0.743 0.958
0.397 0.460 0.201
0.412 0.095 0.854
0.451 0.249 0.367
0.460 0.397 0.701
0.540 0.603 0.299
0.549 0.751 0.633
0.588 0.905 0.146
0.603 0.540 0.799
0.634 0.257 0.042
0.743 0.366 0.458
0.751 0.549 0.133
0.854 0.105 0.675
0.895 0.146 0.825
0.905 0.588 0.646
0.163 0.262 0.637
0.262 0.163 0.137
0.738 0.837 0.863
0.837 0.738 0.363
0.053 0.526 0.655
0.055 0.945 0.250
0.163 0.768 0.573
0.204 0.367 0.106
0.232 0.837 0.927
0.258 0.310 0.823
0.310 0.258 0.323
0.367 0.204 0.606
0.466 0.534 0.750
0.474 0.947 0.845
0.526 0.053 0.155
0.534 0.466 0.250
0.633 0.796 0.394
0.690 0.742 0.677
0.742 0.690 0.177
0.768 0.163 0.073
0.796 0.633 0.894
0.837 0.232 0.427
0.945 0.055 0.750
0.947 0.474 0.345
```

## Properties
SG	C2/c (15)
magnetic moment	0.09	μB per atom

---

Arrangement ii

Here is an optimized crystal structure of NiH10Se2O10 from the Materials Project. Energies are from PBE+U.

Structure (POSCAR):
```
NiH10Se2O10
1.0
7.257 -3.850 0.000
7.257 3.850 0.000
-6.563 0.000 8.791
Ni H Se O
2 20 4 20
Direct
0.034 0.966 0.750
0.966 0.034 0.250
0.048 0.583 0.768
0.249 0.630 0.166
0.262 0.398 0.937
0.263 0.294 0.025
0.294 0.263 0.525
0.318 0.569 0.663
0.370 0.751 0.334
0.398 0.262 0.437
0.417 0.952 0.732
0.431 0.682 0.837
0.569 0.318 0.163
0.583 0.048 0.268
0.602 0.738 0.563
0.630 0.249 0.666
0.682 0.431 0.337
0.706 0.737 0.475
0.737 0.706 0.975
0.738 0.602 0.063
0.751 0.370 0.834
0.952 0.417 0.232
0.011 0.255 0.607
0.255 0.011 0.107
0.745 0.989 0.893
0.989 0.745 0.393
0.059 0.162 0.184
0.116 0.173 0.476
0.138 0.431 0.761
0.162 0.059 0.684
0.173 0.116 0.976
0.233 0.767 0.250
0.299 0.701 0.750
0.320 0.385 0.039
0.385 0.320 0.539
0.431 0.138 0.261
0.569 0.862 0.739
0.615 0.680 0.461
0.680 0.615 0.961
0.701 0.299 0.250
0.767 0.233 0.750
0.827 0.884 0.024
0.838 0.941 0.316
0.862 0.569 0.239
0.884 0.827 0.524
0.941 0.838 0.816
```

## Properties
SG	C2/c (15)
magnetic moment	0.09	μB per atom

---

Stability summary - winner: arrangement ii; margin: 0.162 eV/atom.

---

Arrangement i

Here is an optimized crystal structure of NiH2SeO5 from the Materials Project. Energies are from PBE+U.

Structure (POSCAR):
```
NiH2SeO5
1.0
5.167 0.000 0.000
0.186 5.166 0.000
2.470 2.378 7.189
Ni H Se O
2 4 2 10
Direct
0.000 0.000 0.000
0.000 0.000 0.500
0.271 0.507 0.000
0.493 0.728 0.500
0.507 0.272 0.500
0.729 0.493 0.000
0.309 0.691 0.250
0.691 0.309 0.750
0.065 0.934 0.250
0.175 0.636 0.067
0.256 0.366 0.389
0.364 0.825 0.433
0.366 0.253 0.890
0.634 0.747 0.110
0.636 0.175 0.567
0.744 0.634 0.611
0.825 0.364 0.933
0.935 0.066 0.750
```

## Properties
SG	P-1 (2)
magnetic moment	0.00	μB per atom

---

Arrangement ii

Here is an optimized crystal structure of NiH2SeO5 from the Materials Project. Energies are from PBE+U.

Structure (POSCAR):
```
NiH2SeO5
1.0
5.256 2.049 -4.100
5.330 -3.476 5.095
-3.048 -6.850 -1.485
Ni H Se O
4 8 4 20
Direct
0.000 0.500 0.000
0.000 0.000 0.500
0.500 0.000 0.000
0.500 0.500 0.500
0.332 0.696 0.202
0.832 0.196 0.202
0.668 0.196 0.298
0.168 0.696 0.298
0.668 0.304 0.798
0.168 0.804 0.798
0.332 0.804 0.702
0.832 0.304 0.702
0.750 0.834 0.750
0.250 0.334 0.750
0.250 0.166 0.250
0.750 0.666 0.250
0.250 0.877 0.750
0.750 0.377 0.750
0.750 0.123 0.250
0.250 0.623 0.250
0.760 0.949 0.575
0.260 0.449 0.575
0.740 0.949 0.925
0.240 0.449 0.925
0.240 0.051 0.425
0.740 0.551 0.425
0.260 0.051 0.075
0.760 0.551 0.075
0.473 0.216 0.848
0.973 0.716 0.848
0.527 0.716 0.652
0.027 0.216 0.652
0.527 0.784 0.152
0.027 0.284 0.152
0.473 0.284 0.348
0.973 0.784 0.348
```

---

Stability summary - winner: arrangement ii; margin: 0.120 eV/atom.

---

Arrangement i

Here is an optimized crystal structure of V2P2H6PbO14 from the Materials Project. Energies are from PBE+U.

Structure (POSCAR):
```
V2P2H6PbO14
1.0
4.479 -4.461 0.000
4.479 4.461 0.000
-2.924 0.000 13.692
V P H Pb O
4 4 12 2 28
Direct
0.104 0.896 0.500
0.354 0.577 0.899
0.577 0.354 0.399
0.896 0.104 0.000
0.087 0.371 0.443
0.371 0.087 0.943
0.588 0.871 0.447
0.871 0.588 0.947
0.064 0.412 0.181
0.127 0.932 0.710
0.254 0.657 0.685
0.392 0.451 0.687
0.412 0.064 0.681
0.451 0.392 0.187
0.635 0.961 0.682
0.657 0.254 0.185
0.749 0.829 0.254
0.829 0.749 0.754
0.932 0.127 0.210
0.961 0.635 0.182
0.343 0.888 0.190
0.888 0.343 0.690
0.035 0.557 0.872
0.057 0.877 0.381
0.098 0.592 0.507
0.103 0.571 0.198
0.111 0.213 0.519
0.182 0.945 0.650
0.213 0.111 0.019
0.267 0.343 0.378
0.283 0.530 0.719
0.334 0.869 0.874
0.343 0.267 0.878
0.378 0.622 0.016
0.410 0.890 0.511
0.530 0.283 0.219
0.557 0.035 0.372
0.571 0.103 0.698
0.572 0.647 0.381
0.592 0.098 0.007
0.622 0.378 0.516
0.647 0.572 0.881
0.673 0.770 0.190
0.770 0.673 0.690
0.801 0.909 0.515
0.869 0.334 0.374
0.877 0.057 0.881
0.890 0.410 0.011
0.909 0.801 0.015
0.945 0.182 0.150
```

## Properties
SG	Cc (9)
magnetic moment	0.00	μB per atom

---

Arrangement ii

Here is an optimized crystal structure of V2P2H6PbO14 from the Materials Project. Energies are from PBE+U.

Structure (POSCAR):
```
V2P2H6PbO14
1.0
4.430 -4.480 0.000
4.430 4.480 0.000
-2.627 0.000 14.189
V P H Pb O
4 4 12 2 28
Direct
0.109 0.891 0.500
0.345 0.590 0.902
0.590 0.345 0.402
0.891 0.109 0.000
0.098 0.367 0.445
0.367 0.098 0.945
0.594 0.867 0.450
0.867 0.594 0.950
0.021 0.881 0.669
0.067 0.424 0.185
0.266 0.698 0.707
0.414 0.498 0.709
0.424 0.067 0.685
0.498 0.414 0.209
0.642 0.952 0.693
0.698 0.266 0.207
0.729 0.774 0.268
0.774 0.729 0.768
0.881 0.021 0.169
0.952 0.642 0.193
0.357 0.887 0.181
0.887 0.357 0.681
0.032 0.567 0.877
0.058 0.874 0.385
0.097 0.580 0.202
0.102 0.585 0.506
0.118 0.207 0.519
0.155 0.914 0.644
0.207 0.118 0.019
0.280 0.341 0.382
0.290 0.559 0.735
0.331 0.882 0.878
0.341 0.280 0.882
0.368 0.634 0.016
0.414 0.887 0.512
0.559 0.290 0.235
0.567 0.032 0.377
0.580 0.097 0.702
0.585 0.102 0.006
0.585 0.645 0.387
0.634 0.368 0.516
0.645 0.585 0.887
0.688 0.752 0.200
0.752 0.688 0.700
0.804 0.905 0.518
0.874 0.058 0.885
0.882 0.331 0.378
0.887 0.414 0.012
0.905 0.804 0.018
0.914 0.155 0.144
```

## Properties
SG	Cc (9)
magnetic moment	0.00	μB per atom

---

Stability summary - winner: arrangement ii; margin: 0.019 eV/atom.